# Sm2CdAu2 | Materials Project | meta-GGA r2SCAN | relaxed
data_Sm2CdAu2
_chemical_formula_sum 'Sm4 Cd2 Au4'
_cell_length_a 8.0222
_cell_length_b 8.0222
_cell_length_c 3.7981
_cell_angle_alpha 90.00
_cell_angle_beta 90.00
_cell_angle_gamma 90.00
_space_group_name_H-M_alt 'P 4/m b m'
_space_group_IT_number 127
_space_group_name_Hall '-P 4 2ab'
loop_
_atom_site_label
_atom_site_fract_x
_atom_site_fract_y
_atom_site_fract_z
_atom_site_occupancy
Sm1 0.1707 0.3293 0.0000 1
Cd1 0.0000 0.0000 0.5000 1
Au1 0.1288 0.6288 0.5000 1
# Volume: 24.44 A^3/atom

# CdSnAu | Materials Project | meta-GGA r2SCAN | relaxed
data_CdSnAu
_chemical_formula_sum 'Cd4 Sn4 Au4'
_cell_length_a 6.5603
_cell_length_b 6.5603
_cell_length_c 6.5603
_cell_angle_alpha 90.00
_cell_angle_beta 90.00
_cell_angle_gamma 90.00
_space_group_name_H-M_alt 'F -4 3 m'
_space_group_IT_number 216
_space_group_name_Hall 'F -4 2 3'
loop_
_atom_site_label
_atom_site_fract_x
_atom_site_fract_y
_atom_site_fract_z
_atom_site_occupancy
Cd1 0.0000 0.0000 0.0000 1
Sn1 0.0000 0.0000 0.5000 1
Au1 0.2500 0.2500 0.2500 1
# Volume: 23.53 A^3/atom

# Sr2CdAu3 | Materials Project | meta-GGA r2SCAN | relaxed
data_Sr2CdAu3
_chemical_formula_sum 'Sr4 Cd2 Au6'
_cell_length_a 11.1359
_cell_length_b 4.8405
_cell_length_c 7.6238
_cell_angle_alpha 90.00
_cell_angle_beta 131.83
_cell_angle_gamma 90.00
_space_group_name_H-M_alt 'C 1 m 1'
_space_group_IT_number 8
_space_group_name_Hall 'C -2y'
loop_
_atom_site_label
_atom_site_fract_x
_atom_site_fract_y
_atom_site_fract_z
_atom_site_occupancy
Sr1 0.0000 0.0000 0.0000 1
Sr2 0.0902 0.0000 0.5954 1
Cd1 0.2116 0.5000 0.3966 1
Au1 0.2067 0.5000 0.0050 1
Au2 0.3783 0.0000 0.5872 1
Au3 0.3876 0.0000 0.1858 1
# Volume: 25.52 A^3/atom

# ThCdAu2 | Materials Project | meta-GGA r2SCAN | relaxed
data_ThCdAu2
_chemical_formula_sum 'Th4 Cd4 Au8'
_cell_length_a 7.1182
_cell_length_b 7.1182
_cell_length_c 7.1182
_cell_angle_alpha 90.00
_cell_angle_beta 90.00
_cell_angle_gamma 90.00
_space_group_name_H-M_alt 'F m -3 m'
_space_group_IT_number 225
_space_group_name_Hall '-F 4 2 3'
loop_
_atom_site_label
_atom_site_fract_x
_atom_site_fract_y
_atom_site_fract_z
_atom_site_occupancy
Th1 0.0000 0.0000 0.0000 1
Cd1 0.0000 0.0000 0.5000 1
Au1 0.2500 0.2500 0.2500 1
# Volume: 22.54 A^3/atom

| no. | mass density (g cm⁻³) | ΔH_f (0 K) (kJ per mole of atoms) |
| --- | --- | --- |
| 1 | 11.0 | -79 |
| 2 | 10.1 | -19 |
| 3 | 9.5 | -67 |
| 4 | 13.6 | -63 |